The following is a PBE+U calculation of a relaxed structure of Li5Ti2V3O10, from the Materials Project.

Cell: 6.6486 7.9197 7.8866 Å, 65.86 89.87 89.94°
Fractional coordinates of all 40 atoms:
O: 0.8537 0.0935 0.8472
O: 0.9490 0.7209 0.9313
O: 0.8329 0.5983 0.3335
Ti: 0.5552 0.5381 0.3051
V: 0.1516 0.1562 0.8981
O: 0.2307 0.0025 0.7472
O: 0.3311 0.0960 0.3362
O: 0.3501 0.5954 0.8436
O: 0.0471 0.2893 0.0686
O: 0.1362 0.9030 0.1520
Li: 0.1416 0.6336 0.4045
Ti: 0.0571 0.0394 0.3104
O: 0.4515 0.6779 0.4534
O: 0.7673 0.9993 0.2408
V: 0.8452 0.8457 0.1002
Li: 0.0385 0.5663 0.7732
V: 0.6507 0.6563 0.8948
O: 0.9520 0.1771 0.4539
Ti: 0.9359 0.9617 0.6901
Li: 0.9571 0.4355 0.2202
O: 0.2669 0.5000 0.2424
Li: 0.2475 0.2505 0.5018
V: 0.3377 0.3447 0.0961
Li: 0.3562 0.8693 0.5931
O: 0.0423 0.8253 0.5400
O: 0.5523 0.7900 0.0694
Li: 0.5373 0.0682 0.7740
Ti: 0.4404 0.4663 0.6873
Li: 0.7471 0.7493 0.4984
O: 0.5440 0.3259 0.5377
O: 0.6326 0.4025 0.1508
O: 0.6630 0.9089 0.6519
O: 0.4477 0.2188 0.9293
V: 0.7478 0.2555 0.9950
V: 0.2512 0.7533 0.9953
O: 0.1652 0.4058 0.6540
Li: 0.4577 0.9338 0.2208
O: 0.7327 0.5010 0.7429
Li: 0.6388 0.1363 0.4029
Li: 0.8571 0.3699 0.5904

## Properties
ΔE_f = -2703 meV per atom

---

The following is a PBE+U calculation of a relaxed structure of Li4Ti3V5O16, from the Materials Project.

Cell: 5.9090 5.9385 9.6715 Å, 90.56 90.56 119.60°
Fractional coordinates of all 28 atoms:
O: 0.6867 0.3519 0.4002
V: 0.1706 0.3419 0.7899
V: 0.6646 0.3266 0.0127
Li: 0.6665 0.3321 0.6056
O: 0.4846 0.5255 0.6610
O: 0.5198 0.4768 0.1611
V: 0.8170 0.1591 0.2895
O: 0.0357 0.5256 0.6643
O: 0.3483 0.6930 0.8978
O: 0.8381 0.1666 0.8975
O: 0.6720 0.8371 0.3945
Li: 0.0041 0.0073 0.0050
O: 0.9599 0.4793 0.1618
O: 0.1545 0.3239 0.3968
Ti: 0.6606 0.8282 0.7836
Li: 0.9975 0.9974 0.5026
O: 0.3291 0.1659 0.8986
O: 0.1654 0.8355 0.3983
O: 0.9941 0.9912 0.6877
Li: 0.3321 0.6622 0.1050
Ti: 0.1616 0.8233 0.7840
V: 0.3410 0.1663 0.2909
O: 0.9889 0.9903 0.1896
V: 0.3285 0.6636 0.5123
O: 0.5291 0.0319 0.1662
O: 0.8404 0.6799 0.8950
O: 0.4789 0.9596 0.6622
Ti: 0.8299 0.6580 0.2783

## Properties
ΔE_f = -2759 meV per atom

---

The following is a PBE+U calculation of a relaxed structure of LiTiVO4, from the Materials Project.

Cell: 5.9232 6.0044 8.4547 Å, 90.00 90.00 90.06°
Fractional coordinates of all 28 atoms:
O: 0.7498 0.2749 0.4950
O: 0.2498 0.7748 0.9949
V: 0.2500 0.7500 0.7500
V: 0.7500 0.2500 0.2500
Li: 0.5000 0.5000 0.0000
O: 0.2502 0.2251 0.9950
Ti: 0.0000 0.4999 0.5000
O: 0.5262 0.9998 0.2344
O: 0.7498 0.7748 0.0051
O: 0.9738 0.0002 0.2344
Li: 0.0000 0.5000 0.0000
Ti: 0.5000 0.0001 0.0000
Ti: 0.5000 0.5000 0.5000
O: 0.0262 0.9998 0.7656
O: 0.7502 0.2251 0.0050
O: 0.4738 0.0002 0.7656
Li: 0.0000 0.0000 0.5000
Li: 0.5000 0.0000 0.5000
O: 0.9738 0.5002 0.2656
O: 0.0262 0.4998 0.7344
O: 0.5262 0.4998 0.2656
O: 0.7502 0.7252 0.4949
O: 0.2502 0.7252 0.5051
O: 0.2498 0.2749 0.5050
O: 0.4738 0.5002 0.7344
Ti: 0.0000 0.0001 0.0000
V: 0.7500 0.7500 0.2500
V: 0.2500 0.2500 0.7500

## Properties
ΔE_f = -2842 meV per atom

---

The following is a PBE+U calculation of a relaxed structure of Li2TiV3O8, from the Materials Project.

Cell: 5.9453 5.9453 9.5736 Å, 89.95 89.95 120.52°
Fractional coordinates of all 28 atoms:
Li: 0.0036 0.0073 0.9951
Li: 0.3279 0.6636 0.8930
V: 0.8263 0.6565 0.7139
V: 0.1703 0.8287 0.2134
O: 0.3396 0.1703 0.0966
Ti: 0.3320 0.6712 0.4955
O: 0.3234 0.6455 0.1013
Li: 0.0073 0.0036 0.4951
O: 0.0063 0.0172 0.3070
O: 0.8337 0.6674 0.0955
O: 0.0172 0.0063 0.8069
O: 0.6455 0.3234 0.6013
O: 0.6674 0.8337 0.5955
O: 0.4804 0.9564 0.3416
V: 0.6565 0.8263 0.2139
Li: 0.6636 0.3279 0.3930
O: 0.9564 0.4804 0.8416
O: 0.1703 0.3396 0.5966
V: 0.1794 0.3518 0.2199
V: 0.3518 0.1794 0.7199
O: 0.1708 0.8316 0.5937
O: 0.5133 0.0384 0.8431
O: 0.8316 0.1708 0.0937
V: 0.8287 0.1703 0.7134
Ti: 0.6712 0.3320 0.9955
O: 0.4758 0.5118 0.3444
O: 0.5118 0.4758 0.8444
O: 0.0384 0.5133 0.3431

## Properties
ΔE_f = -2708 meV per atom

---

ΔE_f of number 3 (LiTiVO4)?
-2842 meV per atom

---

The lowest ΔE_f belongs to which entry?
LiTiVO4